MgCo4Ni2S8: relaxed, PBE.

Cell lengths 6.9026, 6.9026, 6.9026 Å; angles 56.94, 56.94, 56.94 degrees
Closest atoms and distances in Å follow each position.
Atoms (fractional coordinates):
Co: 0.0000 0.5000 0.5000  6 S 2.25-2.31
Co: 0.5000 0.0000 0.5000  6 S 2.25-2.31
Co: 0.5000 0.5000 0.5000  6 S 2.26
Co: 0.5000 0.5000 0.0000  6 S 2.25-2.31
S: 0.7363 0.7363 0.7363  1 Ni 2.16, 3 Co 2.25
S: 0.7356 0.7356 0.2808  3 Co 2.26-2.31, 1 Ni 2.29, 1 Mg 2.52
S: 0.2808 0.7356 0.7356  3 Co 2.26-2.31, 1 Ni 2.29, 1 Mg 2.52
S: 0.7192 0.2644 0.2644  3 Co 2.26-2.31, 1 Ni 2.29, 1 Mg 2.52
S: 0.7356 0.2808 0.7356  3 Co 2.26-2.31, 1 Ni 2.29, 1 Mg 2.52
S: 0.2637 0.2637 0.2637  1 Ni 2.16, 3 Co 2.25
S: 0.2644 0.2644 0.7192  3 Co 2.26-2.31, 1 Ni 2.29, 1 Mg 2.52
S: 0.2644 0.7192 0.2644  3 Co 2.26-2.31, 1 Ni 2.29, 1 Mg 2.52
Mg: 0.0000 0.0000 0.0000  2 Ni 2.40, 6 S 2.52
Ni: 0.8611 0.8611 0.8611  4 S 2.16-2.29, 1 Mg 2.40
Ni: 0.1389 0.1389 0.1389  4 S 2.16-2.29, 1 Mg 2.40

- Distance to the lowest polymorph of the same formula: 0 meV per atom

BaCaSmNbO6: relaxed, PBE.

Cell lengths 8.4535, 8.4259, 8.4796 Å; angles 90.00, 90.00, 90.00 degrees
Closest atoms and distances in Å follow each position.
Atoms (fractional coordinates):
Ba: 0.0000 0.0000 0.5000  4 O 2.66
Ba: 0.5000 0.5000 0.5000  12 O 2.93-3.03
Ba: 0.0000 0.0000 0.0000  12 O 2.95-3.07
Ba: 0.5000 0.0000 0.0000  4 O 2.67
O: 0.7945 0.7005 0.9830  1 Nb 2.06
O: 0.4795 0.3043 0.7994  1 Nb 2.04
O: 0.3068 0.2093 0.5188  1 Nb 2.05
O: 0.2055 0.2995 0.9830  1 Nb 2.06
O: 0.7274 0.9812 0.7829  1 Nb 2.04
O: 0.0151 0.7760 0.2801  1 Nb 2.01
O: 0.5205 0.6957 0.7994  1 Nb 2.04
O: 0.3068 0.7907 0.4812  1 Nb 2.05
O: 0.9849 0.7760 0.7199  1 Nb 2.01
O: 0.7274 0.0188 0.2171  1 Nb 2.04
O: 0.7917 0.4833 0.3142  1 Nb 2.01
O: 0.2083 0.5167 0.3142  1 Nb 2.01
O: 0.2055 0.7005 0.0170  1 Nb 2.06
O: 0.2726 0.0188 0.7829  1 Nb 2.04
O: 0.7917 0.5167 0.6858  1 Nb 2.01
O: 0.5205 0.3043 0.2006  1 Nb 2.04
O: 0.0151 0.2240 0.7199  1 Nb 2.01
O: 0.4795 0.6957 0.2006  1 Nb 2.04
O: 0.2083 0.4833 0.6858  1 Nb 2.01
O: 0.6932 0.2093 0.4812  1 Nb 2.05
O: 0.2726 0.9812 0.2171  1 Nb 2.04
O: 0.9849 0.2240 0.2801  1 Nb 2.01
O: 0.7945 0.2995 0.0170  1 Nb 2.06
O: 0.6932 0.7907 0.5188  1 Nb 2.05
Ca: 0.5000 0.5000 0.0000  4 O 2.38
Ca: 0.0000 0.5000 0.5000  4 O 2.37
Ca: 0.0000 0.5000 0.0000  4 O 2.43
Ca: 0.5000 0.0000 0.5000  4 O 2.41
Sm: 0.2536 0.2561 0.2505  6 O 2.29-2.35
Sm: 0.7464 0.7439 0.2505  6 O 2.29-2.35
Sm: 0.7464 0.2561 0.7495  6 O 2.29-2.35
Sm: 0.2536 0.7439 0.7495  6 O 2.29-2.35
Nb: 0.2487 0.7430 0.2519  6 O 2.01-2.06
Nb: 0.7513 0.7430 0.7481  6 O 2.01-2.06
Nb: 0.2487 0.2570 0.7481  6 O 2.01-2.06
Nb: 0.7513 0.2570 0.2519  6 O 2.01-2.06

- Distance to the lowest polymorph of the same formula: 0 meV per atom

Number 1: total magnetization 0.00 Bohr magnetons per cell, DFT formation energy -0.71 eV/atom. Number 2: total magnetization 0.00 Bohr magnetons per cell, DFT formation energy -3.38 eV/atom.